i) DFT (PBE-GGA) results for crystalline Mg7Nb at its relaxed geometry.

* total magnetization: 0.006 μB per formula unit
* crystal system: cubic

The structure in extended XYZ format:
```
8
Lattice="0.000 4.391 4.391 4.391 0.000 4.391 4.391 4.391 0.000" Properties=species:S:1:pos:R:3 pbc="T T T"
Mg 0.000 0.000 0.000
Mg 2.196 2.196 0.000
Mg 2.196 0.000 2.196
Mg 4.391 2.196 2.196
Mg 0.000 2.196 2.196
Mg 2.196 4.391 2.196
Mg 2.196 2.196 4.391
Nb 4.391 4.391 4.391
```

=====

ii) DFT (PBE-GGA) results for crystalline Mg7Nb at its relaxed geometry.

* total magnetization: 0.002 μB per formula unit
* crystal system: hexagonal

The structure in extended XYZ format:
```
8
Lattice="6.310 0.000 0.000 -3.155 5.465 0.000 0.000 0.000 5.005" Properties=species:S:1:pos:R:3 pbc="T T T"
Mg 0.000 0.000 0.000
Mg -1.506 2.774 0.000
Mg 1.591 0.918 2.502
Mg 1.506 2.774 0.000
Mg 0.000 5.382 0.000
Mg 4.719 0.918 2.502
Mg 3.155 3.628 2.502
Nb 0.000 3.643 2.502
```

=====

Here is how they stack up, most stable first: i), ii).